Record 1
{
  "formula": "Ti15NbO32",
  "functional": "PBE",
  "state": "optimized geometry",
  "vol_a3_per_atom": 11.8,
  "e_tot_ev_per_atom": -8.98,
  "delta_e_f_ev_per_atom": -3.46,
  "spacegroup": "P-4m2 (115)",
  "lattice_angstrom": [[7.6462, 0.0000, 0.0000], [0.0000, 7.6462, 0.0000], [0.0000, 0.0000, 9.6939]],
  "species": ["Ti", "Ti", "Ti", "Ti", "Ti", "Ti", "Ti", "Ti", "Ti", "Ti", "Ti", "Ti", "Ti", "Ti", "Ti", "Nb", "O", "O", "O", "O", "O", "O", "O", "O", "O", "O", "O", "O", "O", "O", "O", "O", "O", "O", "O", "O", "O", "O", "O", "O", "O", "O", "O", "O", "O", "O", "O", "O"],
  "frac_coords": [[0.0000, 0.0000, 0.0000], [0.0000, 0.2492, 0.2497], [0.0000, 0.5000, 0.0027], [0.0000, 0.7508, 0.2497], [0.2452, 0.5000, 0.7436], [0.2484, 0.2484, 0.5000], [0.2484, 0.7516, 0.5000], [0.2492, 0.0000, 0.7503], [0.5000, 0.0000, 0.9973], [0.5000, 0.2452, 0.2564], [0.5000, 0.7548, 0.2564], [0.7508, 0.0000, 0.7503], [0.7516, 0.2484, 0.5000], [0.7516, 0.7516, 0.5000], [0.7548, 0.5000, 0.7436], [0.5000, 0.5000, 0.0000], [0.0000, 0.0000, 0.2071], [0.0000, 0.0000, 0.7929], [0.0000, 0.2502, 0.0430], [0.0000, 0.2502, 0.4571], [0.0000, 0.5000, 0.2067], [0.0000, 0.5000, 0.7922], [0.0000, 0.7498, 0.0430], [0.0000, 0.7498, 0.4571], [0.2474, 0.5000, 0.9561], [0.2502, 0.0000, 0.5429], [0.2502, 0.0000, 0.9570], [0.2499, 0.2502, 0.2930], [0.2502, 0.2499, 0.7070], [0.2499, 0.5000, 0.5429], [0.2499, 0.7498, 0.2930], [0.2502, 0.7501, 0.7070], [0.5000, 0.0000, 0.2078], [0.5000, 0.0000, 0.7933], [0.5000, 0.2474, 0.0439], [0.5000, 0.2499, 0.4571], [0.5000, 0.5000, 0.2098], [0.5000, 0.5000, 0.7902], [0.5000, 0.7501, 0.4571], [0.5000, 0.7526, 0.0439], [0.7498, 0.0000, 0.5429], [0.7498, 0.0000, 0.9570], [0.7501, 0.2502, 0.2930], [0.7498, 0.2499, 0.7070], [0.7501, 0.5000, 0.5429], [0.7501, 0.7498, 0.2930], [0.7498, 0.7501, 0.7070], [0.7526, 0.5000, 0.9561]]
}


Record 2
{
  "formula": "LiCuF3",
  "functional": "PBE",
  "state": "optimized geometry",
  "e_above_lowest_polymorph_mev_per_atom": 18,
  "vol_a3_per_atom": 11.3,
  "e_tot_ev_per_atom": -4.40,
  "delta_e_f_ev_per_atom": -2.32,
  "spacegroup": "P1 (1)",
  "lattice_angstrom": [[4.9993, 0.0000, 0.0000], [0.0022, 5.2645, 0.0000], [0.0399, 0.0051, 8.6005]],
  "species": ["Li", "Li", "Li", "Li", "Cu", "Cu", "Cu", "Cu", "F", "F", "F", "F", "F", "F", "F", "F", "F", "F", "F", "F"],
  "frac_coords": [[0.0000, 0.0000, 0.0000], [0.0037, 0.5055, 0.5291], [0.4954, 0.0190, 0.0304], [0.5023, 0.5007, 0.5104], [0.0055, 0.5022, 0.2030], [0.0051, 0.5015, 0.8497], [0.5052, 0.0008, 0.3496], [0.5047, 0.0012, 0.7023], [0.1860, 0.3233, 0.0254], [0.2256, 0.3579, 0.6887], [0.2262, 0.3630, 0.3653], [0.2820, 0.8613, 0.8645], [0.2863, 0.8542, 0.1900], [0.3223, 0.8270, 0.5267], [0.6857, 0.1768, 0.5264], [0.7234, 0.1517, 0.1897], [0.7261, 0.1434, 0.8639], [0.7805, 0.6424, 0.3656], [0.7833, 0.6474, 0.6905], [0.8260, 0.6748, 0.0260]]
}


Record 3
{
  "formula": "Mg6Si5",
  "functional": "PBE",
  "state": "optimized geometry",
  "e_above_lowest_polymorph_mev_per_atom": 25,
  "vol_a3_per_atom": 18.8,
  "e_tot_ev_per_atom": -3.31,
  "delta_e_f_ev_per_atom": 0.06,
  "spacegroup": "Pm (6)",
  "lattice_angstrom": [[7.1126, 0.0000, 0.0000], [0.0000, 4.1800, 0.0000], [-1.6763, 0.0000, 13.9224]],
  "species": ["Mg", "Mg", "Mg", "Mg", "Mg", "Mg", "Mg", "Mg", "Mg", "Mg", "Mg", "Mg", "Si", "Si", "Si", "Si", "Si", "Si", "Si", "Si", "Si", "Si"],
  "frac_coords": [[0.0000, 0.0000, 0.0000], [0.0008, 0.5000, 0.1981], [0.0991, 0.5000, 0.6635], [0.1876, 0.0000, 0.3561], [0.3265, 0.5000, 0.0516], [0.3562, 0.0000, 0.6044], [0.5068, 0.5000, 0.2732], [0.5406, 0.0000, 0.9202], [0.5966, 0.0000, 0.4358], [0.6805, 0.5000, 0.5926], [0.8064, 0.0000, 0.7491], [0.9281, 0.5000, 0.4235], [0.1181, 0.5000, 0.8717], [0.2391, 0.0000, 0.7922], [0.2763, 0.0000, 0.1676], [0.3522, 0.5000, 0.4612], [0.5073, 0.5000, 0.7559], [0.6156, 0.0000, 0.1337], [0.7116, 0.5000, 0.0486], [0.7826, 0.5000, 0.8840], [0.8080, 0.0000, 0.2894], [0.9220, 0.0000, 0.5631]]
}


Record 4
{
  "formula": "Bi12Rh3Cl2",
  "functional": "PBE",
  "state": "optimized geometry",
  "vol_a3_per_atom": 29.3,
  "e_tot_ev_per_atom": -4.56,
  "delta_e_f_ev_per_atom": -0.37,
  "spacegroup": "Fddd (70)",
  "lattice_angstrom": [[0.0000, 8.3916, 16.0858], [3.6853, 0.0000, 16.0858], [3.6853, 8.3916, 0.0000]],
  "species": ["Bi", "Bi", "Bi", "Bi", "Bi", "Bi", "Bi", "Bi", "Bi", "Bi", "Bi", "Bi", "Bi", "Bi", "Bi", "Bi", "Bi", "Bi", "Bi", "Bi", "Bi", "Bi", "Bi", "Bi", "Rh", "Rh", "Rh", "Rh", "Rh", "Rh", "Cl", "Cl", "Cl", "Cl"],
  "frac_coords": [[0.0956, 0.4307, 0.2317], [0.1599, 0.6957, 0.4832], [0.1611, 0.4832, 0.6957], [0.1717, 0.1834, 0.8232], [0.1768, 0.6783, 0.8283], [0.1834, 0.1717, 0.3217], [0.2317, 0.7420, 0.0956], [0.2580, 0.7683, 0.5693], [0.3043, 0.8401, 0.8389], [0.3217, 0.8232, 0.1834], [0.4307, 0.0956, 0.7420], [0.4832, 0.1611, 0.1599], [0.5168, 0.8389, 0.8401], [0.5693, 0.9044, 0.2580], [0.6783, 0.1768, 0.8166], [0.6957, 0.1599, 0.1611], [0.7420, 0.2317, 0.4307], [0.7683, 0.2580, 0.9044], [0.8166, 0.8283, 0.6783], [0.8232, 0.3217, 0.1717], [0.8283, 0.8166, 0.1768], [0.8389, 0.5168, 0.3043], [0.8401, 0.3043, 0.5168], [0.9044, 0.5693, 0.7683], [0.0000, 0.0000, 0.0000], [0.0000, 0.0000, 0.5000], [0.0000, 0.5000, 0.0000], [0.1250, 0.1250, 0.1250], [0.5000, 0.0000, 0.0000], [0.8750, 0.8750, 0.8750], [0.1657, 0.5843, 0.1657], [0.4157, 0.8343, 0.4157], [0.5843, 0.1657, 0.5843], [0.8343, 0.4157, 0.8343]]
}


Record 5
{
  "formula": "La2InAg",
  "functional": "PBE",
  "state": "optimized geometry",
  "vol_a3_per_atom": 29.9,
  "e_tot_ev_per_atom": -4.24,
  "delta_e_f_ev_per_atom": -0.38,
  "spacegroup": "Fm-3m (225)",
  "lattice_angstrom": [[0.0000, 3.9124, 3.9124], [3.9124, 0.0000, 3.9124], [3.9124, 3.9124, 0.0000]],
  "species": ["La", "La", "In", "Ag"],
  "frac_coords": [[0.2500, 0.2500, 0.2500], [0.7500, 0.7500, 0.7500], [0.0000, 0.0000, 0.0000], [0.5000, 0.5000, 0.5000]]
}


Record 6
{
  "formula": "KNa2YSi6O15",
  "functional": "PBE",
  "state": "optimized geometry",
  "vol_a3_per_atom": 14.1,
  "e_tot_ev_per_atom": -7.46,
  "delta_e_f_ev_per_atom": -3.19,
  "spacegroup": "Imma (74)",
  "lattice_angstrom": [[-4.3268, 7.5665, 5.3752], [4.3268, -7.5665, 5.3752], [4.3268, 7.5665, -5.3752]],
  "species": ["K", "K", "Na", "Na", "Na", "Na", "Y", "Y", "Si", "Si", "Si", "Si", "Si", "Si", "Si", "Si", "Si", "Si", "Si", "Si", "O", "O", "O", "O", "O", "O", "O", "O", "O", "O", "O", "O", "O", "O", "O", "O", "O", "O", "O", "O", "O", "O", "O", "O", "O", "O", "O", "O", "O", "O"],
  "frac_coords": [[0.4300, 0.1800, 0.2500], [0.5700, 0.8200, 0.7500], [0.2434, 0.0000, 0.7434], [0.2434, 0.5000, 0.2434], [0.7566, 0.0000, 0.2566], [0.7566, 0.5000, 0.7566], [0.0000, 0.0000, 0.0000], [0.5000, 0.0000, 0.5000], [0.0659, 0.7159, 0.3500], [0.1341, 0.2841, 0.8500], [0.1758, 0.3578, 0.4739], [0.1758, 0.7019, 0.8179], [0.3840, 0.3578, 0.6821], [0.3840, 0.7019, 0.0261], [0.6160, 0.2981, 0.9739], [0.6160, 0.6422, 0.3179], [0.8242, 0.2981, 0.1821], [0.8242, 0.6422, 0.5261], [0.8659, 0.7159, 0.1500], [0.9341, 0.2841, 0.6500], [0.0162, 0.2248, 0.4864], [0.0162, 0.5297, 0.7914], [0.0250, 0.7750, 0.2500], [0.1108, 0.1833, 0.9274], [0.1696, 0.2743, 0.2775], [0.1696, 0.8921, 0.8953], [0.2122, 0.5910, 0.6212], [0.2384, 0.2248, 0.7086], [0.2384, 0.5297, 0.0136], [0.2441, 0.8167, 0.4274], [0.3193, 0.3634, 0.5441], [0.3193, 0.7751, 0.9559], [0.4699, 0.5910, 0.8788], [0.4968, 0.2743, 0.6047], [0.4968, 0.8921, 0.2225], [0.5032, 0.1079, 0.7775], [0.5032, 0.7257, 0.3953], [0.5301, 0.4090, 0.1212], [0.6807, 0.2249, 0.0441], [0.6807, 0.6366, 0.4559], [0.7559, 0.1833, 0.5726], [0.7616, 0.4703, 0.9864], [0.7616, 0.7752, 0.2914], [0.7878, 0.4090, 0.3788], [0.8304, 0.1079, 0.1047], [0.8304, 0.7257, 0.7225], [0.8892, 0.8167, 0.0726], [0.9750, 0.2250, 0.7500], [0.9838, 0.4703, 0.2086], [0.9838, 0.7752, 0.5136]]
}